A relaxed structure of Li2Ca. Source: the Materials Project, functional GGA-PBE.

## Properties
The formation energy comes out at -0.023 eV per formula unit. The crystal system is hexagonal. The energy relative to the lowest polymorph listed for this composition is 0.01 eV per formula unit.

Cell: 6.1528 6.1528 10.0921 Å, 90.00 90.00 120.00°
Last column: nearest neighbours and their distance in Å.
Sites, in units of the cell vectors:
Li (0.0000, 0.0000, 0.0000)  6 Li 3.09
Li (0.0000, 0.0000, 0.5000)  6 Li 3.09
Li (0.1670, 0.3340, 0.2500)  6 Li 3.07-3.09
Li (0.1670, 0.8330, 0.2500)  6 Li 3.07-3.09
Li (0.3340, 0.1670, 0.7500)  6 Li 3.07-3.09
Li (0.6660, 0.8330, 0.2500)  6 Li 3.07-3.09
Li (0.8330, 0.1670, 0.7500)  6 Li 3.07-3.09
Li (0.8330, 0.6660, 0.7500)  6 Li 3.07-3.09
Ca (0.3333, 0.6667, 0.5628)  12 Li 3.61-3.62, 4 Ca 3.77-3.78
Ca (0.3333, 0.6667, 0.9372)  12 Li 3.61-3.62, 4 Ca 3.77-3.78
Ca (0.6667, 0.3333, 0.0628)  12 Li 3.61-3.62, 4 Ca 3.77-3.78
Ca (0.6667, 0.3333, 0.4372)  12 Li 3.61-3.62, 4 Ca 3.77-3.78



A relaxed structure of Li2Ca. Source: the Materials Project, functional GGA-PBE.

## Properties
The formation energy comes out at -0.035 eV per formula unit. The crystal system is cubic. The energy relative to the lowest polymorph listed for this composition is 0.00 eV per formula unit.

Cell: 6.1735 6.1735 6.1735 Å, 60.00 60.00 60.00°
Last column: nearest neighbours and their distance in Å.
Sites, in units of the cell vectors:
Li (0.0000, 0.0000, 0.0000)  6 Li 3.09
Li (0.0000, 0.0000, 0.5000)  6 Li 3.09
Li (0.0000, 0.5000, 0.0000)  6 Li 3.09
Li (0.5000, 0.0000, 0.0000)  6 Li 3.09
Ca (0.3750, 0.3750, 0.3750)  12 Li 3.62, 4 Ca 3.78
Ca (0.6250, 0.6250, 0.6250)  12 Li 3.62, 4 Ca 3.78



A relaxed structure of LiCaMg6. Source: the Materials Project, functional GGA-PBE.

## Properties
The formation energy comes out at 0.054 eV per formula unit. The energy relative to the lowest polymorph listed for this composition is 0.00 eV per formula unit.

Cell: 5.2474 6.5804 11.5085 Å, 90.00 90.00 90.00°
Last column: nearest neighbours and their distance in Å.
Sites, in units of the cell vectors:
Li (0.5000, 0.0000, 0.6625)  10 Mg 3.22-3.41, 2 Ca 3.26
Mg (0.0000, 0.7444, 0.0815)  2 Li 3.22, 8 Mg 3.22-3.38, 2 Ca 3.29-3.34
Mg (0.5000, 0.5000, 0.6675)  10 Mg 3.26-3.32, 2 Li 3.29
Mg (0.5000, 0.0000, 0.1675)  10 Mg 3.26-3.32, 2 Li 3.29
Mg (0.5000, 0.2564, 0.9197)  8 Mg 3.21-3.37, 2 Li 3.22-3.41, 2 Ca 3.28
Mg (0.0000, 0.5000, 0.8364)  10 Mg 3.22-3.38, 2 Ca 3.29
Mg (0.5000, 0.7564, 0.4197)  8 Mg 3.21-3.37, 2 Li 3.22-3.41, 2 Ca 3.28
Li (0.5000, 0.5000, 0.1625)  10 Mg 3.22-3.41, 2 Ca 3.26
Ca (0.0000, 0.0000, 0.8311)  2 Li 3.26, 10 Mg 3.28-3.34
Mg (0.5000, 0.2436, 0.4197)  8 Mg 3.21-3.37, 2 Li 3.22-3.41, 2 Ca 3.28
Mg (0.5000, 0.7436, 0.9197)  8 Mg 3.21-3.37, 2 Li 3.22-3.41, 2 Ca 3.28
Mg (0.0000, 0.0000, 0.3364)  10 Mg 3.22-3.38, 2 Ca 3.29
Ca (0.0000, 0.5000, 0.3311)  2 Li 3.26, 10 Mg 3.28-3.34
Mg (0.0000, 0.2556, 0.0815)  2 Li 3.22, 8 Mg 3.22-3.38, 2 Ca 3.29-3.34
Mg (0.0000, 0.7556, 0.5815)  2 Li 3.22, 8 Mg 3.22-3.38, 2 Ca 3.29-3.34
Mg (0.0000, 0.2444, 0.5815)  2 Li 3.22, 8 Mg 3.22-3.38, 2 Ca 3.29-3.34



A relaxed structure of LiCaMg6. Source: the Materials Project, functional GGA-PBE.

## Properties
The formation energy comes out at 0.100 eV per formula unit. The energy relative to the lowest polymorph listed for this composition is 0.05 eV per formula unit.

Cell: 5.2797 6.5124 11.5448 Å, 90.00 90.00 90.00°
Last column: nearest neighbours and their distance in Å.
Sites, in units of the cell vectors:
Ca (0.5000, 0.0000, 0.1672)  2 Li 3.26, 10 Mg 3.28-3.31
Mg (0.5000, 0.7534, 0.4182)  8 Mg 3.21-3.30, 2 Li 3.27-3.35, 2 Ca 3.31
Mg (0.5000, 0.2534, 0.9182)  8 Mg 3.21-3.30, 2 Li 3.27-3.35, 2 Ca 3.31
Ca (0.5000, 0.5000, 0.6672)  2 Li 3.26, 10 Mg 3.28-3.31
Mg (0.0000, 0.2429, 0.5815)  8 Mg 3.16-3.38, 2 Li 3.23, 2 Ca 3.28
Mg (0.5000, 0.2466, 0.4182)  8 Mg 3.21-3.30, 2 Li 3.27-3.35, 2 Ca 3.31
Mg (0.0000, 0.2571, 0.0815)  8 Mg 3.16-3.38, 2 Li 3.23, 2 Ca 3.28
Mg (0.0000, 0.0000, 0.3363)  10 Mg 3.23-3.38, 2 Ca 3.28
Mg (0.0000, 0.7571, 0.5815)  8 Mg 3.16-3.38, 2 Li 3.23, 2 Ca 3.28
Mg (0.0000, 0.7429, 0.0815)  8 Mg 3.16-3.38, 2 Li 3.23, 2 Ca 3.28
Mg (0.0000, 0.0000, 0.8317)  10 Mg 3.26-3.33, 2 Li 3.26
Mg (0.5000, 0.7466, 0.9182)  8 Mg 3.21-3.30, 2 Li 3.27-3.35, 2 Ca 3.31
Li (0.5000, 0.5000, 0.1654)  10 Mg 3.23-3.35, 2 Ca 3.26
Li (0.5000, 0.0000, 0.6654)  10 Mg 3.23-3.35, 2 Ca 3.26
Mg (0.0000, 0.5000, 0.3317)  10 Mg 3.26-3.33, 2 Li 3.26
Mg (0.0000, 0.5000, 0.8363)  10 Mg 3.23-3.38, 2 Ca 3.28



A relaxed structure of LiCaMg14. Source: the Materials Project, functional GGA-PBE.

## Properties
The formation energy comes out at 0.084 eV per formula unit. The crystal system is hexagonal. The energy relative to the lowest polymorph listed for this composition is 0.00 eV per formula unit.

Cell: 6.5263 6.5263 10.3151 Å, 90.00 90.00 120.00°
Last column: nearest neighbours and their distance in Å.
Sites, in units of the cell vectors:
Li (0.0000, 0.0000, 0.0000)  12 Mg 3.15-3.26
Ca (0.0000, 0.0000, 0.5000)  12 Mg 3.25-3.26
Mg (0.0012, 0.5006, 0.0000)  10 Mg 3.14-3.27, 2 Li 3.26
Mg (0.0055, 0.5028, 0.5000)  10 Mg 3.19-3.32, 2 Ca 3.26
Mg (0.1679, 0.3359, 0.2437)  10 Mg 3.14-3.29, 1 Li 3.15, 1 Ca 3.25
Mg (0.1679, 0.3359, 0.7563)  10 Mg 3.14-3.29, 1 Li 3.15, 1 Ca 3.25
Mg (0.1679, 0.8321, 0.2437)  10 Mg 3.14-3.29, 1 Li 3.15, 1 Ca 3.25
Mg (0.1679, 0.8321, 0.7563)  10 Mg 3.14-3.29, 1 Li 3.15, 1 Ca 3.25
Mg (0.4972, 0.5028, 0.5000)  10 Mg 3.19-3.32, 2 Ca 3.26
Mg (0.4972, 0.9945, 0.5000)  10 Mg 3.19-3.32, 2 Ca 3.26
Mg (0.4994, 0.5006, 0.0000)  10 Mg 3.14-3.27, 2 Li 3.26
Mg (0.4994, 0.9988, 0.0000)  10 Mg 3.14-3.27, 2 Li 3.26
Mg (0.6641, 0.8321, 0.2437)  10 Mg 3.14-3.29, 1 Li 3.15, 1 Ca 3.25
Mg (0.6641, 0.8321, 0.7563)  10 Mg 3.14-3.29, 1 Li 3.15, 1 Ca 3.25
Mg (0.6667, 0.3333, 0.2529)  12 Mg 3.19-3.26
Mg (0.6667, 0.3333, 0.7471)  12 Mg 3.19-3.26



A relaxed structure of LiCaMg14. Source: the Materials Project, functional GGA-PBE.

## Properties
The formation energy comes out at 0.136 eV per formula unit. The crystal system is orthorhombic. The energy relative to the lowest polymorph listed for this composition is 0.05 eV per formula unit.

Cell: 10.4400 6.4875 6.4875 Å, 59.50 90.00 90.00°
Last column: nearest neighbours and their distance in Å.
Sites, in units of the cell vectors:
Li (0.0000, 0.0000, 0.0000)  10 Mg 3.18-3.30, 2 Ca 3.22
Ca (0.0000, 0.5032, 0.5032)  2 Li 3.22, 10 Mg 3.24-3.28
Mg (0.0000, 0.0002, 0.5086)  8 Mg 3.16-3.27, 2 Li 3.19-3.30, 2 Ca 3.24-3.25
Mg (0.0000, 0.5086, 0.0002)  8 Mg 3.16-3.27, 2 Li 3.19-3.30, 2 Ca 3.24-3.25
Mg (0.2450, 0.1679, 0.1679)  1 Li 3.18, 11 Mg 3.19-3.25
Mg (0.2565, 0.1638, 0.6706)  10 Mg 3.15-3.29, 1 Li 3.25, 1 Ca 3.28
Mg (0.2565, 0.6706, 0.1638)  10 Mg 3.15-3.29, 1 Li 3.25, 1 Ca 3.28
Mg (0.2568, 0.6705, 0.6705)  11 Mg 3.14-3.29, 1 Ca 3.28
Mg (0.5000, 0.0022, 0.0022)  12 Mg 3.15-3.25
Mg (0.5000, 0.0022, 0.5023)  12 Mg 3.14-3.25
Mg (0.5000, 0.5023, 0.0022)  12 Mg 3.14-3.25
Mg (0.5000, 0.5021, 0.5021)  12 Mg 3.17-3.25
Mg (0.7435, 0.1638, 0.6706)  10 Mg 3.15-3.29, 1 Li 3.25, 1 Ca 3.28
Mg (0.7435, 0.6706, 0.1638)  10 Mg 3.15-3.29, 1 Li 3.25, 1 Ca 3.28
Mg (0.7432, 0.6705, 0.6705)  11 Mg 3.14-3.29, 1 Ca 3.28
Mg (0.7550, 0.1679, 0.1679)  1 Li 3.18, 11 Mg 3.19-3.25



> What is the energy relative to the lowest polymorph listed for this composition in the sixth record?

0.05 eV per formula unit



> What is the energy relative to the lowest polymorph listed for this composition in the fifth record?

0.00 eV per formula unit